# Mg2Si3 | the Materials Project | PBE | optimized geometry
# - formation energy (eV/f.u.) = 0.5
# - V (Å³/cell) = 177.53
# - ΔE to the lowest computed polymorph (eV/atom) = 0.0252
# - crystal system = triclinic
data_Mg2Si3
_chemical_formula_sum 'Mg4 Si6'
_space_group_name_H-M_alt 'P 1'
_space_group_IT_number 1
_cell_length_a 4.415
_cell_length_b 5.285
_cell_length_c 8.572
_cell_angle_alpha 76.80
_cell_angle_beta 77.10
_cell_angle_gamma 67.24
loop_
_space_group_symop_operation_xyz
'x,y,z'
loop_
_atom_site_label
_atom_site_type_symbol
_atom_site_fract_x
_atom_site_fract_y
_atom_site_fract_z
_atom_site_occupancy
Mg1 Mg 0.505 0.168 0.322 1
Mg2 Mg 0.325 0.771 0.091 1
Mg3 Mg 0.675 0.229 0.909 1
Mg4 Mg 0.495 0.832 0.678 1
Si1 Si 0.033 0.320 0.117 1
Si2 Si 0.210 0.420 0.660 1
Si3 Si 0.149 0.784 0.435 1
Si4 Si 0.851 0.216 0.565 1
Si5 Si 0.790 0.580 0.340 1
Si6 Si 0.967 0.680 0.883 1